1.
## Mg2ScMo3S8 (PBE)

Data for crystalline Mg2ScMo3S8 at its relaxed geometry.

Geometry as extended XYZ:
```
14
Lattice="3.7653 2.1739 5.9945 -3.7653 2.1739 5.9945 0.0000 -4.3478 5.9945" Properties=species:S:1:pos:R:3 pbc="T T T"
Mg 0.0000 0.0000 2.2219
Mg 0.0000 0.0000 15.7618
Sc 0.0000 0.0000 8.9918
Mo -1.8826 -1.0869 5.9945
Mo -1.8826 1.0869 11.9891
Mo 0.0000 2.1739 5.9945
S 0.0000 -2.0308 7.3953
S -1.7587 1.0154 7.3953
S 0.0000 0.0000 4.6972
S -1.7587 -1.0154 10.5883
S 1.7587 1.0154 7.3953
S 0.0000 0.0000 13.2864
S 1.7587 -1.0154 10.5883
S 0.0000 2.0308 10.5883
```

## Properties
calculated total energy	-6.2519	eV/atom
space group	R-3m, No. 166
total magnetization	8.8	Bohr magnetons per cell

=====

2.
## MgMo3Se2S4 (PBE)

Data for crystalline MgMo3Se2S4 at its relaxed geometry.

Geometry as extended XYZ:
```
10
Lattice="3.2420 0.0000 0.0000 -1.6210 2.8076 0.0000 0.0000 0.0000 36.5073" Properties=species:S:1:pos:R:3 pbc="T T T"
Mg 0.0000 0.0000 0.0000
Mo 0.0000 0.0000 4.8382
Mo 1.6210 0.9359 12.8688
Mo 1.6210 0.9359 32.2505
Se 1.6210 0.9359 3.1259
Se 1.6210 0.9359 6.5423
S 0.0000 0.0000 11.3205
S 0.0000 0.0000 14.4165
S 0.0000 0.0000 30.7121
S 0.0000 0.0000 33.7948
```

## Properties
calculated total energy	-6.4503	eV/atom
space group	P3m1, No. 156
total magnetization	0.0	Bohr magnetons per cell

=====

Question: total magnetization of number 1 (Mg2ScMo3S8)?
Answer: 8.8 Bohr magnetons per cell

=====

Question: What is the formula in the second record?
Answer: MgMo3Se2S4

=====

Question: The lowest calculated total energy belongs to which entry?
Answer: MgMo3Se2S4